P | This record from Materials Project describes Nd5Si3 after structural relaxation. The functional is PBE.

Geometry as CIF:
```
data_Nd5Si3
_cell_length_a 7.823
_cell_length_b 7.823
_cell_length_c 13.918
_cell_angle_alpha 90.00
_cell_angle_beta 90.00
_cell_angle_gamma 90.00
_space_group_name_H-M_alt 'I 4/m c m'
_space_group_IT_number 140
_space_group_name_Hall '-I 4 2c'
loop_
_atom_site_label
_atom_site_type_symbol
_atom_site_fract_x
_atom_site_fract_y
_atom_site_fract_z
Nd1 Nd 0.000 0.000 0.000
Nd2 Nd 0.178 0.322 0.146
Si1 Si 0.000 0.000 0.250
Si2 Si 0.115 0.385 0.500
```



Q | This record from Materials Project describes Nd5Si3 after structural relaxation. The functional is PBE.

Geometry as CIF:
```
data_Nd5Si3
_cell_length_a 8.7926
_cell_length_b 8.7926
_cell_length_c 6.6653
_cell_angle_alpha 90.00
_cell_angle_beta 90.00
_cell_angle_gamma 120.00
_space_group_name_H-M_alt 'P 63/m c m'
_space_group_IT_number 193
_space_group_name_Hall '-P 6c 2'
loop_
_atom_site_label
_atom_site_type_symbol
_atom_site_fract_x
_atom_site_fract_y
_atom_site_fract_z
Nd1 Nd 0.0000 0.2446 0.2500
Nd2 Nd 0.3333 0.6667 0.0000
Si1 Si 0.0000 0.3939 0.7500
```



The structure with the least stability is Q.



P | This record from Materials Project describes Nd3Sm after structural relaxation. The functional is PBE.

Geometry as CIF:
```
data_Nd3Sm
_cell_length_a 7.3515
_cell_length_b 7.3515
_cell_length_c 6.0525
_cell_angle_alpha 90.00
_cell_angle_beta 90.00
_cell_angle_gamma 120.00
_space_group_name_H-M_alt 'P 63/m m c'
_space_group_IT_number 194
_space_group_name_Hall '-P 6c 2c'
loop_
_atom_site_label
_atom_site_type_symbol
_atom_site_fract_x
_atom_site_fract_y
_atom_site_fract_z
Nd1 Nd 0.1668 0.3336 0.2500
Sm1 Sm 0.3333 0.6667 0.7500
```



Q | This record from Materials Project describes Nd3Sm after structural relaxation. The functional is PBE.

Geometry as CIF:
```
data_Nd3Sm
_cell_length_a 5.191
_cell_length_b 5.191
_cell_length_c 5.191
_cell_angle_alpha 90.00
_cell_angle_beta 90.00
_cell_angle_gamma 90.00
_space_group_name_H-M_alt 'P m -3 m'
_space_group_IT_number 221
_space_group_name_Hall '-P 4 2 3'
loop_
_atom_site_label
_atom_site_type_symbol
_atom_site_fract_x
_atom_site_fract_y
_atom_site_fract_z
Nd1 Nd 0.000 0.000 0.500
Sm1 Sm 0.500 0.500 0.500
```



The structure with the least stability is P.



P | This record from Materials Project describes NdTm3 after structural relaxation. The functional is PBE.

Geometry as CIF:
```
data_NdTm3
_cell_length_a 5.000
_cell_length_b 5.000
_cell_length_c 5.000
_cell_angle_alpha 90.00
_cell_angle_beta 90.00
_cell_angle_gamma 90.00
_space_group_name_H-M_alt 'P m -3 m'
_space_group_IT_number 221
_space_group_name_Hall '-P 4 2 3'
loop_
_atom_site_label
_atom_site_type_symbol
_atom_site_fract_x
_atom_site_fract_y
_atom_site_fract_z
Nd1 Nd 0.000 0.000 0.000
Tm1 Tm 0.000 0.500 0.500
```



Q | This record from Materials Project describes NdTm3 after structural relaxation. The functional is PBE.

Geometry as CIF:
```
data_NdTm3
_cell_length_a 7.1995
_cell_length_b 7.1995
_cell_length_c 5.6794
_cell_angle_alpha 90.00
_cell_angle_beta 90.00
_cell_angle_gamma 120.00
_space_group_name_H-M_alt 'P 63/m m c'
_space_group_IT_number 194
_space_group_name_Hall '-P 6c 2c'
loop_
_atom_site_label
_atom_site_type_symbol
_atom_site_fract_x
_atom_site_fract_y
_atom_site_fract_z
Nd1 Nd 0.3333 0.6667 0.2500
Tm1 Tm 0.1644 0.3288 0.7500
```



The structure with the least stability is P.



P | This record from Materials Project describes Nd3Y after structural relaxation. The functional is PBE.

Geometry as CIF:
```
data_Nd3Y
_cell_length_a 3.6505
_cell_length_b 3.6505
_cell_length_c 11.9135
_cell_angle_alpha 90.00
_cell_angle_beta 90.00
_cell_angle_gamma 120.00
_space_group_name_H-M_alt 'P -6 m 2'
_space_group_IT_number 187
_space_group_name_Hall 'P -6 2'
loop_
_atom_site_label
_atom_site_type_symbol
_atom_site_fract_x
_atom_site_fract_y
_atom_site_fract_z
Nd1 Nd 0.0000 0.0000 0.0000
Nd2 Nd 0.6667 0.3333 0.2536
Y1 Y 0.3333 0.6667 0.5000
```



Q | This record from Materials Project describes Nd3Y after structural relaxation. The functional is PBE.

Geometry as CIF:
```
data_Nd3Y
_cell_length_a 7.3796
_cell_length_b 7.3796
_cell_length_c 5.9937
_cell_angle_alpha 90.00
_cell_angle_beta 90.00
_cell_angle_gamma 120.00
_space_group_name_H-M_alt 'P 63/m m c'
_space_group_IT_number 194
_space_group_name_Hall '-P 6c 2c'
loop_
_atom_site_label
_atom_site_type_symbol
_atom_site_fract_x
_atom_site_fract_y
_atom_site_fract_z
Nd1 Nd 0.1673 0.3346 0.2500
Y1 Y 0.3333 0.6667 0.7500
```



The structure with the least stability is Q.



P | This record from Materials Project describes Nd2Zn17 after structural relaxation. The functional is PBE.

Geometry as CIF:
```
data_Nd2Zn17
_cell_length_a 9.0577
_cell_length_b 9.0577
_cell_length_c 13.3109
_cell_angle_alpha 90.00
_cell_angle_beta 90.00
_cell_angle_gamma 120.00
_space_group_name_H-M_alt 'R -3 m'
_space_group_IT_number 166
_space_group_name_Hall '-R 3 2"'
loop_
_atom_site_label
_atom_site_type_symbol
_atom_site_fract_x
_atom_site_fract_y
_atom_site_fract_z
Nd1 Nd 0.0000 0.0000 0.1644
Zn1 Zn 0.0000 0.0000 0.4012
Zn2 Zn 0.0000 0.2932 0.5000
Zn3 Zn 0.0000 0.5000 0.0000
Zn4 Zn 0.0075 0.5037 0.6537
```



Q | This record from Materials Project describes Nd2Zn17 after structural relaxation. The functional is PBE.

Geometry as CIF:
```
data_Nd2Zn17
_cell_length_a 9.0818
_cell_length_b 9.0818
_cell_length_c 8.7530
_cell_angle_alpha 90.00
_cell_angle_beta 90.00
_cell_angle_gamma 120.00
_space_group_name_H-M_alt 'P 63/m m c'
_space_group_IT_number 194
_space_group_name_Hall '-P 6c 2c'
loop_
_atom_site_label
_atom_site_type_symbol
_atom_site_fract_x
_atom_site_fract_y
_atom_site_fract_z
Nd1 Nd 0.0000 0.0000 0.2500
Nd2 Nd 0.3333 0.6667 0.2500
Zn1 Zn 0.0000 0.5000 0.0000
Zn2 Zn 0.0374 0.3668 0.7500
Zn3 Zn 0.1618 0.3236 0.0174
Zn4 Zn 0.3333 0.6667 0.5991
```



The structure with the least stability is Q.



P | This record from Materials Project describes Ni9S8 after structural relaxation. The functional is PBE.

Geometry as CIF:
```
data_Ni9S8
_cell_length_a 9.227
_cell_length_b 11.146
_cell_length_c 9.355
_cell_angle_alpha 90.00
_cell_angle_beta 90.00
_cell_angle_gamma 90.00
_space_group_name_H-M_alt 'C 2 2 2'
_space_group_IT_number 21
_space_group_name_Hall 'C 2 2'
loop_
_atom_site_label
_atom_site_type_symbol
_atom_site_fract_x
_atom_site_fract_y
_atom_site_fract_z
Ni1 Ni 0.000 0.000 0.000
Ni2 Ni 0.000 0.000 0.285
Ni3 Ni 0.000 0.236 0.000
Ni4 Ni 0.000 0.500 0.500
Ni5 Ni 0.125 0.416 0.125
Ni6 Ni 0.128 0.186 0.377
Ni7 Ni 0.222 0.000 0.500
Ni8 Ni 0.250 0.250 0.769
S1 S 0.117 0.152 0.618
S2 S 0.121 0.378 0.885
S3 S 0.131 0.384 0.364
S4 S 0.134 0.116 0.139
```



Q | This record from Materials Project describes Ni9S8 after structural relaxation. The functional is PBE.

Geometry as CIF:
```
data_Ni9S8
_cell_length_a 9.546
_cell_length_b 9.546
_cell_length_c 22.155
_cell_angle_alpha 90.00
_cell_angle_beta 90.00
_cell_angle_gamma 90.00
_space_group_name_H-M_alt 'I -4 2 d'
_space_group_IT_number 122
_space_group_name_Hall 'I -4 2bw'
loop_
_atom_site_label
_atom_site_type_symbol
_atom_site_fract_x
_atom_site_fract_y
_atom_site_fract_z
Ni1 Ni 0.000 0.000 0.134
Ni2 Ni 0.000 0.000 0.253
Ni3 Ni 0.003 0.233 0.501
Ni4 Ni 0.096 0.603 0.661
Ni5 Ni 0.117 0.618 0.211
Ni6 Ni 0.209 0.750 0.125
S1 S 0.114 0.616 0.313
S2 S 0.124 0.630 0.820
S3 S 0.125 0.637 0.050
S4 S 0.134 0.136 0.311
```



The structure with the least stability is Q.



P | This record from Materials Project describes Zr7Ni10 after structural relaxation. The functional is PBE.

Geometry as CIF:
```
data_Zr7Ni10
_cell_length_a 9.134
_cell_length_b 9.146
_cell_length_c 12.367
_cell_angle_alpha 90.00
_cell_angle_beta 90.00
_cell_angle_gamma 90.00
_space_group_name_H-M_alt 'P b c a'
_space_group_IT_number 61
_space_group_name_Hall '-P 2ac 2ab'
loop_
_atom_site_label
_atom_site_type_symbol
_atom_site_fract_x
_atom_site_fract_y
_atom_site_fract_z
Zr1 Zr 0.000 0.000 0.000
Zr2 Zr 0.000 0.001 0.309
Zr3 Zr 0.186 0.186 0.497
Zr4 Zr 0.247 0.249 0.246
Ni1 Ni 0.006 0.706 0.647
Ni2 Ni 0.013 0.708 0.356
Ni3 Ni 0.106 0.605 0.002
Ni4 Ni 0.207 0.007 0.144
Ni5 Ni 0.210 0.008 0.853
```



Q | This record from Materials Project describes Zr7Ni10 after structural relaxation. The functional is PBE.

Geometry as CIF:
```
data_Zr7Ni10
_cell_length_a 12.400
_cell_length_b 9.174
_cell_length_c 9.234
_cell_angle_alpha 90.00
_cell_angle_beta 90.00
_cell_angle_gamma 90.00
_space_group_name_H-M_alt 'C m c e'
_space_group_IT_number 64
_space_group_name_Hall '-C 2ac 2'
loop_
_atom_site_label
_atom_site_type_symbol
_atom_site_fract_x
_atom_site_fract_y
_atom_site_fract_z
Zr1 Zr 0.000 0.000 0.000
Zr2 Zr 0.000 0.188 0.312
Zr3 Zr 0.191 0.000 0.500
Zr4 Zr 0.250 0.248 0.250
Ni1 Ni 0.000 0.106 0.606
Ni2 Ni 0.145 0.206 0.007
Ni3 Ni 0.146 0.006 0.793
```



The structure with the least stability is P.